Li2Mn3O7: optimized geometry, r²SCAN.

Summary:
The total energy comes out at -9.727 eV per atom. The value obtained for the calculated volume is 234.2 Å³/cell. The space group is P-1.

```
Li2Mn3O7
1.0
5.9032 0.0000 0.0000
-1.6338 6.1554 0.0000
-2.7790 -2.6096 6.4451
Li Mn O
4 6 14
Cartesian
0.7581 1.1900 0.4328 Li
-0.7426 0.7375 3.4341 Li
2.2331 2.8083 3.0110 Li
0.7323 2.3558 6.0122 Li
-0.8296 3.3771 1.4307 Mn
-2.1636 2.3732 5.9387 Mn
-0.8111 3.9959 4.1317 Mn
2.3015 -0.4502 2.3134 Mn
3.6540 1.1726 0.5064 Mn
2.3200 0.1687 5.0144 Mn
-0.8520 1.5442 1.6597 O
-2.0016 3.7368 2.7776 O
-0.6498 5.2498 0.9223 O
-2.3117 0.5324 6.3870 O
-0.4270 -1.9147 5.5537 O
-0.7914 2.2402 4.7027 O
1.0008 -0.2413 3.7041 O
0.4897 3.7871 2.7410 O
2.2818 1.3056 1.7424 O
1.9174 5.4605 0.8914 O
3.8022 3.0134 0.0581 O
2.1402 -1.7040 5.5228 O
3.4920 -0.1910 3.6675 O
2.3424 2.0016 4.7853 O
```


NbRu3: optimized geometry, r²SCAN.

Summary:
The total energy comes out at -25.377 eV per atom. The value obtained for the calculated volume is 58.6 Å³/cell. The space group is Pm-3m.

```
NbRu3
1.0
3.8851 0.0000 0.0000
0.0000 3.8851 0.0000
0.0000 0.0000 3.8851
Nb Ru
1 3
Cartesian
0.0000 0.0000 0.0000 Nb
0.0000 1.9426 1.9426 Ru
1.9426 0.0000 1.9426 Ru
1.9426 1.9426 0.0000 Ru
```


CeSb12Os4: optimized geometry, r²SCAN.

Summary:
The total energy comes out at -32.682 eV per atom. The value obtained for the calculated volume is 410.0 Å³/cell. The space group is Im-3.

```
CeSb12Os4
1.0
-4.6798 4.6798 4.6798
4.6798 -4.6798 4.6798
4.6798 4.6798 -4.6798
Ce Sb Os
1 12 4
Cartesian
0.0000 0.0000 0.0000 Ce
3.1766 1.4706 0.0000 Sb
6.1831 1.4706 0.0000 Sb
4.6798 -1.5032 3.2093 Sb
3.2093 4.6798 -1.5032 Sb
1.4706 0.0000 3.1766 Sb
0.0000 3.1766 1.4706 Sb
4.6798 1.5032 3.2093 Sb
3.2093 4.6798 1.5032 Sb
1.4706 0.0000 6.1831 Sb
0.0000 6.1831 1.4706 Sb
-1.5032 3.2093 4.6798 Sb
1.5032 3.2093 4.6798 Sb
2.3399 2.3399 -2.3399 Os
2.3399 -2.3399 2.3399 Os
-2.3399 2.3399 2.3399 Os
2.3399 2.3399 2.3399 Os
```


Ho2AlRu: optimized geometry, r²SCAN.

Summary:
The total energy comes out at -24.896 eV per atom. The value obtained for the calculated volume is 83.8 Å³/cell. The space group is Fm-3m.

```
Ho2AlRu
1.0
0.0000 3.4727 3.4727
3.4727 0.0000 3.4727
3.4727 3.4727 0.0000
Ho Al Ru
2 1 1
Cartesian
1.7363 1.7363 1.7363 Ho
5.2090 5.2090 5.2090 Ho
0.0000 0.0000 0.0000 Al
3.4727 3.4727 3.4727 Ru
```


Ti2TcRh: optimized geometry, r²SCAN.

Summary:
The total energy comes out at -19.796 eV per atom. The value obtained for the calculated volume is 58.7 Å³/cell. The space group is Fm-3m.

```
Ti2TcRh
1.0
0.0000 3.0848 3.0848
3.0848 0.0000 3.0848
3.0848 3.0848 0.0000
Ti Tc Rh
2 1 1
Cartesian
1.5424 1.5424 1.5424 Ti
4.6273 4.6273 4.6273 Ti
0.0000 0.0000 0.0000 Tc
3.0848 3.0848 3.0848 Rh
```


Sr4Bi2O: optimized geometry, r²SCAN.

Summary:
The energy above the most stable polymorph in this dataset is 0 meV/atom. The total energy comes out at -27.902 eV per atom. The value obtained for the calculated volume is 223.3 Å³/cell. The space group is I4mm.

```
Sr4Bi2O
1.0
-2.5150 2.5150 8.8261
2.5150 -2.5150 8.8261
2.5150 2.5150 -8.8261
Sr Bi O
4 2 1
Cartesian
0.0000 0.0000 0.0000 Sr
2.5150 0.0000 2.8793 Sr
0.0000 0.0000 5.9181 Sr
0.0000 2.5150 2.8793 Sr
0.0000 0.0000 9.2725 Bi
0.0000 0.0000 14.1714 Bi
0.0000 0.0000 2.7401 O
```